Here is FePO4 after structural relaxation from the Materials Project database. Energies are from PBE with a Hubbard U.

```
data_FePO4
_chemical_formula_sum 'Fe4 P4 O16'
_cell_length_a 9.9142
_cell_length_b 5.8855
_cell_length_c 4.8606
_cell_angle_alpha 90.00
_cell_angle_beta 90.00
_cell_angle_gamma 90.00
_symmetry_space_group_name_H-M 'P n m a'
_symmetry_Int_Tables_number 62
loop_
_symmetry_equiv_pos_as_xyz
'x,y,z'
'-x,-y,-z'
'-x+1/2,-y,z+1/2'
'x+1/2,y,-z+1/2'
'x+1/2,-y+1/2,-z+1/2'
'-x+1/2,y+1/2,z+1/2'
'-x,y+1/2,-z'
'x,-y+1/2,z'
loop_
_atom_site_label
_atom_site_type_symbol
_atom_site_fract_x
_atom_site_fract_y
_atom_site_fract_z
_atom_site_occupancy
Fe1 Fe 0.2259 0.2500 0.0491 1
P1 P 0.0938 0.7500 0.0986 1
O1 O 0.0572 0.2500 0.8469 1
O2 O 0.1203 0.7500 0.7888 1
O3 O 0.1671 0.5462 0.2472 1
```

- Spin magnetization: 5.00 μB/f.u.
- E: -7.089 eV per atom
- V: 70.9 Å³/f.u.

---

Here is Fe3P4O16 after structural relaxation from the Materials Project database. Energies are from PBE with a Hubbard U.

```
data_Fe3P4O16
_chemical_formula_sum 'Fe6 P8 O32'
_cell_length_a 8.5366
_cell_length_b 5.1335
_cell_length_c 15.7363
_cell_angle_alpha 90.00
_cell_angle_beta 113.21
_cell_angle_gamma 90.00
_symmetry_space_group_name_H-M 'P 1 21/c 1'
_symmetry_Int_Tables_number 14
loop_
_symmetry_equiv_pos_as_xyz
'x,y,z'
'-x,-y,-z'
'-x,y+1/2,-z+1/2'
'x,-y+1/2,z+1/2'
loop_
_atom_site_label
_atom_site_type_symbol
_atom_site_fract_x
_atom_site_fract_y
_atom_site_fract_z
_atom_site_occupancy
Fe1 Fe 0.0000 0.0000 0.0000 1
Fe2 Fe 0.3232 0.0928 0.3030 1
P1 P 0.0246 0.0039 0.6478 1
P2 P 0.4216 0.0595 0.1157 1
O1 O 0.0134 0.6827 0.9365 1
O2 O 0.0507 0.7211 0.6222 1
O3 O 0.1303 0.5235 0.8248 1
O4 O 0.1859 0.0987 0.7291 1
O5 O 0.2490 0.0683 0.0329 1
O6 O 0.3958 0.0119 0.2063 1
O7 O 0.4704 0.1694 0.8972 1
O8 O 0.4754 0.6915 0.8806 1
```

- Spin magnetization: 14.40 μB/f.u.
- E: -6.842 eV per atom
- V: 316.9 Å³/f.u.

---

Here is Fe2P3O13 after structural relaxation from the Materials Project database. Energies are from PBE with a Hubbard U.

```
data_Fe2P3O13
_chemical_formula_sum 'Fe4 P6 O26'
_cell_length_a 6.3710
_cell_length_b 7.7578
_cell_length_c 11.1137
_cell_angle_alpha 74.14
_cell_angle_beta 86.19
_cell_angle_gamma 79.22
_symmetry_space_group_name_H-M 'P -1'
_symmetry_Int_Tables_number 2
loop_
_symmetry_equiv_pos_as_xyz
'x,y,z'
'-x,-y,-z'
loop_
_atom_site_label
_atom_site_type_symbol
_atom_site_fract_x
_atom_site_fract_y
_atom_site_fract_z
_atom_site_occupancy
Fe1 Fe 0.1940 0.1931 0.1121 1
Fe2 Fe 0.2418 0.2728 0.5937 1
P1 P 0.1193 0.4767 0.3001 1
P2 P 0.2363 0.7948 0.3395 1
P3 P 0.2784 0.9378 0.8827 1
O1 O 0.0452 0.7894 0.4309 1
O2 O 0.1137 0.4732 0.6572 1
O3 O 0.1137 0.8079 0.9016 1
O4 O 0.1327 0.4023 0.1866 1
O5 O 0.2102 0.6685 0.2493 1
O6 O 0.2318 0.9892 0.2593 1
O7 O 0.2346 0.3498 0.9372 1
O8 O 0.2560 0.0329 0.9897 1
O9 O 0.2593 0.0784 0.7561 1
O10 O 0.2605 0.3575 0.4082 1
O11 O 0.4177 0.9893 0.5308 1
O12 O 0.4495 0.7188 0.4045 1
O13 O 0.4929 0.7998 0.8919 1
```

- Spin magnetization: 12.00 μB/f.u.
- E: -6.608 eV per atom
- V: 259.5 Å³/f.u.

---

Here is Fe3P4O16 after structural relaxation from the Materials Project database. Energies are from PBE with a Hubbard U.

```
data_Fe3P4O16
_chemical_formula_sum 'Fe12 P16 O64'
_cell_length_a 19.1097
_cell_length_b 6.3740
_cell_length_c 10.9559
_cell_angle_alpha 90.00
_cell_angle_beta 92.01
_cell_angle_gamma 90.00
_symmetry_space_group_name_H-M 'C 1 2/c 1'
_symmetry_Int_Tables_number 15
loop_
_symmetry_equiv_pos_as_xyz
'x,y,z'
'-x,-y,-z'
'-x,y,-z+1/2'
'x,-y,z+1/2'
'x+1/2,y+1/2,z'
'-x+1/2,-y+1/2,-z'
'-x+1/2,y+1/2,-z+1/2'
'x+1/2,-y+1/2,z+1/2'
loop_
_atom_site_label
_atom_site_type_symbol
_atom_site_fract_x
_atom_site_fract_y
_atom_site_fract_z
_atom_site_occupancy
Fe1 Fe 0.1507 0.0216 0.2494 1
Fe2 Fe 0.2500 0.2500 0.0000 1
P1 P 0.0851 0.1613 0.9919 1
P2 P 0.2013 0.4803 0.7446 1
O1 O 0.0180 0.2910 0.9641 1
O2 O 0.0794 0.0525 0.1160 1
O3 O 0.0873 0.0012 0.8865 1
O4 O 0.1504 0.3041 0.9917 1
O5 O 0.1562 0.3296 0.2686 1
O6 O 0.1568 0.2864 0.7208 1
O7 O 0.2424 0.0522 0.1453 1
O8 O 0.2447 0.0173 0.8613 1
```

- Spin magnetization: 16.00 μB/f.u.
- E: -6.814 eV per atom
- V: 333.4 Å³/f.u.

---

Here is FePO4 after structural relaxation from the Materials Project database. Energies are from PBE with a Hubbard U.

```
data_FePO4
_chemical_formula_sum 'Fe6 P6 O24'
_cell_length_a 6.3997
_cell_length_b 7.9111
_cell_length_c 9.4059
_cell_angle_alpha 105.08
_cell_angle_beta 107.74
_cell_angle_gamma 100.76
_symmetry_space_group_name_H-M 'P 1'
_symmetry_Int_Tables_number 1
loop_
_symmetry_equiv_pos_as_xyz
'x,y,z'
loop_
_atom_site_label
_atom_site_type_symbol
_atom_site_fract_x
_atom_site_fract_y
_atom_site_fract_z
_atom_site_occupancy
Fe1 Fe 0.0000 0.0000 0.0000 1
Fe2 Fe 0.0359 0.7229 0.4959 1
Fe3 Fe 0.3721 0.4781 0.1139 1
Fe4 Fe 0.6006 0.5517 0.8743 1
Fe5 Fe 0.6913 0.1872 0.6826 1
Fe6 Fe 0.9340 0.2771 0.4492 1
P1 P 0.0697 0.5876 0.8075 1
P2 P 0.2075 0.1427 0.7536 1
P3 P 0.3710 0.2274 0.3457 1
P4 P 0.5854 0.7676 0.6097 1
P5 P 0.7578 0.8532 0.2157 1
P6 P 0.8876 0.3997 0.1414 1
O1 O 0.0435 0.5429 0.6306 1
O2 O 0.0726 0.7816 0.8879 1
O3 O 0.0941 0.5220 0.1321 1
O4 O 0.1866 0.9430 0.6880 1
O5 O 0.2049 0.1937 0.9254 1
O6 O 0.2299 0.2760 0.4469 1
O7 O 0.2384 0.0486 0.2030 1
O8 O 0.2895 0.5410 0.8948 1
O9 O 0.3522 0.7587 0.4966 1
O10 O 0.4360 0.2575 0.7505 1
O11 O 0.4494 0.3765 0.2819 1
O12 O 0.5304 0.7352 0.2026 1
O13 O 0.5531 0.6404 0.7057 1
O14 O 0.5962 0.2121 0.4698 1
O15 O 0.6663 0.4499 0.0577 1
O16 O 0.7058 0.9699 0.7392 1
O17 O 0.7422 0.7231 0.5222 1
O18 O 0.7660 0.8105 0.0409 1
O19 O 0.7713 0.0557 0.2743 1
O20 O 0.8551 0.4521 0.8123 1
O21 O 0.8611 0.1975 0.0582 1
O22 O 0.9116 0.4429 0.3193 1
O23 O 0.9644 0.8155 0.3228 1
O24 O 0.9979 0.1904 0.6460 1
```

- Spin magnetization: 5.00 μB/f.u.
- E: -7.065 eV per atom
- V: 69.9 Å³/f.u.

---

Here is FeP2O7 after structural relaxation from the Materials Project database. Energies are from PBE with a Hubbard U.

```
data_FeP2O7
_chemical_formula_sum 'Fe4 P8 O28'
_cell_length_a 6.4510
_cell_length_b 9.6746
_cell_length_c 10.6471
_cell_angle_alpha 64.69
_cell_angle_beta 85.82
_cell_angle_gamma 72.88
_symmetry_space_group_name_H-M 'P 1'
_symmetry_Int_Tables_number 1
loop_
_symmetry_equiv_pos_as_xyz
'x,y,z'
loop_
_atom_site_label
_atom_site_type_symbol
_atom_site_fract_x
_atom_site_fract_y
_atom_site_fract_z
_atom_site_occupancy
Fe1 Fe 0.0000 0.0000 0.0000 1
Fe2 Fe 0.1019 0.4105 0.9688 1
Fe3 Fe 0.3527 0.4046 0.4729 1
Fe4 Fe 0.4546 0.8151 0.4417 1
P1 P 0.0386 0.1067 0.2559 1
P2 P 0.1427 0.2256 0.7580 1
P3 P 0.3118 0.5895 0.6837 1
P4 P 0.4159 0.7083 0.1858 1
P5 P 0.6172 0.3584 0.9190 1
P6 P 0.6543 0.0912 0.4268 1
P7 P 0.8003 0.7239 0.0149 1
P8 P 0.8373 0.4567 0.5227 1
O1 O 0.0051 0.5813 0.0319 1
O2 O 0.0320 0.4509 0.4307 1
O3 O 0.0887 0.0673 0.8014 1
O4 O 0.1180 0.2495 0.1646 1
O5 O 0.1253 0.5647 0.7783 1
O6 O 0.1663 0.2344 0.8984 1
O7 O 0.1766 0.9794 0.3932 1
O8 O 0.2734 0.8235 0.0531 1
O9 O 0.2883 0.5807 0.5434 1
O10 O 0.3293 0.2504 0.6635 1
O11 O 0.3365 0.5656 0.2771 1
O12 O 0.3659 0.7478 0.6403 1
O13 O 0.4226 0.3642 0.0111 1
O14 O 0.4494 0.2337 0.4099 1
O15 O 0.4563 0.7988 0.2650 1
O16 O 0.5249 0.4543 0.7585 1
O17 O 0.6197 0.9587 0.3967 1
O18 O 0.6486 0.6414 0.1322 1
O19 O 0.6719 0.3917 0.4929 1
O20 O 0.6849 0.7915 0.8724 1
O21 O 0.7249 0.1791 0.9393 1
O22 O 0.7297 0.6360 0.5024 1
O23 O 0.7708 0.0116 0.5724 1
O24 O 0.7827 0.4234 0.9488 1
O25 O 0.8060 0.1737 0.3095 1
O26 O 0.8349 0.8564 0.0450 1
O27 O 0.9297 0.3608 0.6833 1
O28 O 0.9983 0.0163 0.1767 1
```

- Spin magnetization: 0.00 μB/f.u.
- E: -6.695 eV per atom
- V: 143.2 Å³/f.u.